(1)
Computed, not measured: CaTi2O6 after structural relaxation at the GGA-PBE level of DFT.

Structure (extended XYZ):
```
36
Lattice="-8.133 -2.595 -2.723 1.684 -4.936 -0.325 -2.683 -1.596 9.537" Properties=species:S:1:pos:R:3 pbc="T T T"
O -6.271 -3.290 1.892
O -8.952 -3.867 0.977
O -3.715 -3.191 -0.493
O -1.158 -2.143 0.331
O -6.431 -3.852 -1.215
O -1.400 -4.413 3.045
Ti -4.670 -4.238 -1.830
O -2.522 -2.992 5.156
Ca -9.268 -6.284 4.277
O -4.635 -3.155 7.502
O -5.772 -6.826 3.657
O -0.182 -5.261 5.513
O -6.611 -6.135 1.334
O -4.498 -5.972 -1.012
O -4.067 -5.045 2.168
O -3.361 -2.301 2.833
O -7.733 -4.715 3.445
O -5.066 -4.082 4.322
O -2.862 -5.838 4.598
Ti -4.464 -4.889 8.320
O -5.418 -5.936 6.983
Ti -8.175 -3.045 2.612
O -7.602 -4.129 6.728
Ti -4.036 -2.016 8.907
Ca -6.096 -2.535 5.783
Ca -3.038 -6.592 0.707
Ti -5.097 -7.111 -2.417
O -10.264 -4.745 5.805
Ti -5.904 -5.057 2.929
Ti -3.229 -4.070 3.561
Ti -0.958 -6.083 3.878
O -7.975 -6.985 6.159
O -2.702 -5.275 7.705
O 1.131 -4.382 0.685
Ca 0.134 -2.843 2.213
O -1.531 -4.998 -0.238
```

Values from the calculation:
Calculated volume, Å³/atom: 13.05
E_form, eV/atom: -2.9735
MP2020-corrected energy, eV per atom: -8.250

---

(2)
Computed, not measured: CaTi2O4 after structural relaxation at the GGA-PBE level of DFT.

Structure (extended XYZ):
```
14
Lattice="-0.793 3.164 3.982 -2.182 -3.371 -3.221 2.169 -7.547 6.428" Properties=species:S:1:pos:R:3 pbc="T T T"
O 0.079 -8.591 4.201
O -1.554 -4.854 -1.169
Ti -1.870 -3.047 -1.911
Ca -1.112 -2.775 1.122
Ca 0.306 -4.978 6.067
O -0.263 -1.328 4.833
O 0.748 -2.899 8.359
Ti 1.064 -4.706 9.101
O -1.487 -0.103 0.381
O -0.543 -6.425 2.356
O -0.885 0.838 2.989
Ti 0.260 -1.908 6.718
Ti -1.065 -5.845 0.472
O -0.403 -3.877 3.595
```

Values from the calculation:
Energy above the lowest structure with this stoichiometry, meV/atom: 0
Calculated volume, Å³/atom: 10.96
E_form, eV/atom: -3.3464
MP2020-corrected energy, eV per atom: -8.716

---

(3)
Computed, not measured: CaTi2O4 after structural relaxation at the GGA-PBE level of DFT.

Structure (extended XYZ):
```
14
Lattice="0.000 4.442 4.442 4.442 0.000 4.442 4.442 4.442 0.000" Properties=species:S:1:pos:R:3 pbc="T T T"
O 5.399 5.399 3.485
O 5.706 7.620 5.706
Ca 0.000 0.000 0.000
O 3.485 3.485 3.485
O 3.485 5.399 5.399
Ti 3.332 5.553 3.332
O 5.399 3.485 5.399
O 5.706 5.706 7.620
O 7.620 5.706 5.706
Ca 2.221 2.221 2.221
Ti 5.553 3.332 3.332
Ti 5.553 5.553 5.553
Ti 3.332 3.332 5.553
O 7.620 7.620 7.620
```

Values from the calculation:
Energy above the lowest structure with this stoichiometry, meV/atom: 84
Calculated volume, Å³/atom: 12.52
E_form, eV/atom: -3.2626
MP2020-corrected energy, eV per atom: -8.632

---

(4)
Computed, not measured: CaTi2O5 after structural relaxation at the GGA-PBE level of DFT.

Structure (extended XYZ):
```
16
Lattice="-1.307 -3.359 0.396 4.253 -1.375 2.376 -4.731 3.048 10.230" Properties=species:S:1:pos:R:3 pbc="T T T"
O 3.399 -0.914 3.467
Ca -0.060 -1.871 0.530
Ca 1.294 0.341 7.159
O -2.591 0.201 9.745
O -0.905 1.316 8.174
O 0.744 0.254 4.609
O 0.490 -1.785 3.081
Ti 1.845 -0.367 2.978
Ti -1.455 1.759 10.113
O 1.918 -0.620 1.072
Ti -0.611 -1.164 4.711
O -0.684 -0.911 6.618
O -2.165 -0.617 4.222
Ti -2.042 -0.242 7.806
O -3.317 0.126 6.715
O -0.179 1.391 11.205
```

Values from the calculation:
Energy above the lowest structure with this stoichiometry, meV/atom: 0
Calculated volume, Å³/atom: 13.39
E_form, eV/atom: -3.5439
MP2020-corrected energy, eV per atom: -8.861